# 1
Entry from the Materials Project database: crystalline La2CeSi2S8I at its relaxed geometry (PBE).

POSCAR file:
```
La2CeSi2S8I
1.0
-0.3554 -8.2062 3.6815
6.6707 -6.0161 0.5742
3.5615 2.8250 10.0446
Si La S Ce I
4 4 16 2 2
direct
0.6966 0.6216 0.9706
0.3784 0.3034 0.5294
0.6216 0.6966 0.4706
0.3034 0.3784 0.0294
0.3205 0.0759 0.8193
0.6795 0.9241 0.1807
0.0759 0.3205 0.3193
0.9241 0.6795 0.6807
0.8476 0.7144 0.4148
0.4165 0.7206 0.9569
0.8861 0.3999 0.8538
0.2510 0.4490 0.8392
0.1524 0.2856 0.5852
0.1139 0.6001 0.1462
0.7206 0.4165 0.4569
0.2856 0.1524 0.0852
0.6001 0.1139 0.6462
0.5835 0.2794 0.0431
0.4490 0.2510 0.3392
0.7490 0.5510 0.1608
0.3999 0.8861 0.3538
0.7144 0.8476 0.9148
0.2794 0.5835 0.5431
0.5510 0.7490 0.6608
0.4063 0.5937 0.2500
0.5937 0.4063 0.7500
0.9881 0.0119 0.2500
0.0119 0.9881 0.7500
```

Properties
- total magnetization (μB/f.u.) = 1.00
- space-group type = C2/c, No. 15

=====

# 2
Entry from the Materials Project database: crystalline La9Ce3Si8S32I4 at its relaxed geometry (PBE).

POSCAR file:
```
La9Ce3Si8S32I4
1.0
-8.0891 3.9873 1.1082
-0.0223 7.9680 -11.0360
-8.0993 -3.9715 -9.9212
Si S La I Ce
8 32 9 4 3
direct
0.7067 0.9162 0.6147
0.0053 0.2957 0.6731
0.2928 0.0848 0.3855
0.5054 0.7958 0.1732
0.9953 0.7037 0.3265
0.7933 0.5848 0.8853
0.2061 0.4156 0.1152
0.4958 0.2037 0.8262
0.0956 0.6176 0.4669
0.6595 0.0632 0.4817
0.2579 0.1622 0.8820
0.0868 0.0641 0.3514
0.7429 0.8387 0.1158
0.2413 0.2054 0.4546
0.5213 0.8796 0.7683
0.3946 0.8553 0.3034
0.4848 0.6261 0.2268
0.9848 0.1260 0.7265
0.4110 0.4363 0.1510
0.5878 0.5635 0.8507
0.4786 0.1209 0.2321
0.9059 0.3807 0.5320
0.5151 0.3735 0.7733
0.5957 0.1179 0.9669
0.0151 0.8735 0.2734
0.7430 0.7054 0.9542
0.1063 0.6434 0.1973
0.6073 0.1439 0.6965
0.1580 0.5623 0.9820
0.9788 0.6209 0.7319
0.0209 0.3789 0.2688
0.7573 0.7957 0.5455
0.8946 0.3553 0.8033
0.7574 0.6624 0.3822
0.2573 0.2955 0.0454
0.8418 0.4380 0.0181
0.3422 0.9381 0.5181
0.4061 0.8819 0.0320
0.2427 0.3386 0.6157
0.9115 0.9370 0.6505
0.1046 0.8202 0.4994
0.6045 0.3201 0.9994
0.2688 0.0526 0.1283
0.8282 0.5785 0.1716
0.3284 0.0791 0.6713
0.3954 0.6795 0.0013
0.6716 0.9214 0.3284
0.1716 0.4214 0.8285
0.7690 0.5523 0.6281
0.8813 0.1318 0.1184
0.1181 0.8685 0.8813
0.6183 0.3682 0.3815
0.3813 0.6318 0.6185
0.7291 0.9474 0.8713
0.8966 0.1783 0.5029
0.2285 0.4466 0.3718
```

Properties
- total magnetization (μB/f.u.) = 3.00
- space-group type = P1, No. 1

=====

# 3
Entry from the Materials Project database: crystalline Rb2LiCeI6 at its relaxed geometry (PBE).

POSCAR file:
```
Rb2LiCeI6
1.0
3.1160 -7.5803 2.6842
-4.0878 -4.3928 6.1942
-4.1680 -7.3006 -1.9245
I Ce Rb Li
6 1 2 1
direct
0.2558 0.7442 0.2558
0.7442 0.2558 0.2558
0.7442 0.7442 0.2558
0.2558 0.7442 0.7442
0.7442 0.2558 0.7442
0.2558 0.2558 0.7442
0.0000 0.0000 0.0000
0.2500 0.2500 0.2500
0.7500 0.7500 0.7500
0.5000 0.5000 0.5000
```

Properties
- total magnetization (μB/f.u.) = 1.00
- space-group type = Fm-3m, No. 225

=====

# 4
Entry from the Materials Project database: crystalline CeNdI4 at its relaxed geometry (PBE).

POSCAR file:
```
CeNdI4
1.0
7.3046 5.0951 0.0000
-7.3046 5.0951 0.0000
0.0000 4.7368 6.0461
Nd I Ce
2 8 2
direct
0.1307 0.8693 0.2500
0.8693 0.1307 0.7500
0.8744 0.7542 0.7553
0.1256 0.2458 0.2447
0.1938 0.5554 0.5898
0.2458 0.1256 0.7447
0.7542 0.8744 0.2553
0.8062 0.4446 0.4102
0.4446 0.8062 0.9102
0.5554 0.1938 0.0898
0.4946 0.5054 0.2500
0.5054 0.4946 0.7500
```

Properties
- total magnetization (μB/f.u.) = 2.11
- space-group type = C2/c, No. 15

=====

# 5
Entry from the Materials Project database: crystalline CeI3O9 at its relaxed geometry (PBE).

POSCAR file:
```
CeI3O9
1.0
6.0625 0.0000 0.0000
0.0000 8.9710 0.0000
0.0000 7.2248 15.4545
O I Ce
36 12 4
direct
0.5943 0.9077 0.9587
0.3173 0.3434 0.2457
0.0865 0.3583 0.0536
0.4057 0.0923 0.0413
0.9494 0.9372 0.7024
0.4494 0.0628 0.7976
0.9678 0.5979 0.1192
0.9057 0.9077 0.4587
0.5861 0.3320 0.1171
0.4135 0.3583 0.5536
0.5322 0.5979 0.6192
0.5506 0.9372 0.2024
0.6056 0.0952 0.3292
0.4989 0.3700 0.8685
0.6827 0.6566 0.7543
0.5011 0.6300 0.1315
0.8173 0.6566 0.2543
0.8994 0.1337 0.0098
0.3994 0.8663 0.4902
0.9135 0.6417 0.9464
0.9989 0.6300 0.6315
0.0506 0.0628 0.2976
0.0322 0.4021 0.8808
0.1006 0.8663 0.9902
0.1056 0.9048 0.1708
0.0011 0.3700 0.3685
0.8944 0.0952 0.8292
0.4139 0.6680 0.8829
0.5865 0.6417 0.4464
0.0861 0.6680 0.3829
0.6006 0.1337 0.5098
0.4678 0.4021 0.3808
0.9139 0.3320 0.6171
0.1827 0.3434 0.7457
0.3944 0.9048 0.6708
0.0943 0.0923 0.5413
0.6369 0.3600 0.4775
0.5904 0.4155 0.1983
0.8631 0.3600 0.9775
0.8122 0.9305 0.3508
0.9096 0.4155 0.6983
0.4096 0.5845 0.8017
0.1369 0.6400 0.0225
0.0904 0.5845 0.3017
0.3122 0.0695 0.1492
0.3631 0.6400 0.5225
0.6878 0.9305 0.8508
0.1878 0.0695 0.6492
0.7325 0.8616 0.5994
0.2675 0.1384 0.4006
0.2325 0.1384 0.9006
0.7675 0.8616 0.0994
```

Properties
- total magnetization (μB/f.u.) = 0.95
- space-group type = P2_1/c, No. 14
- excess energy over the best structure of this formula in the dataset (kJ/mol of formula units) = 0

=====

# 6
Entry from the Materials Project database: crystalline CeI3O9 at its relaxed geometry (PBE).

POSCAR file:
```
CeI3O9
1.0
-4.5298 0.9476 -3.9389
-4.2089 -1.1301 4.5685
-0.0378 11.5283 2.8168
I O Ce
6 18 2
direct
0.7500 0.7222 0.5105
0.2500 0.2778 0.4895
0.7500 0.7222 0.9895
0.2500 0.7817 0.2500
0.2500 0.2778 0.0105
0.7500 0.2183 0.7500
0.9765 0.6422 0.6051
0.5118 0.0422 0.7500
0.4765 0.3578 0.1051
0.5235 0.6422 0.8949
0.7500 0.5663 0.2500
0.0235 0.3578 0.3949
0.4882 0.9578 0.2500
0.2500 0.9910 0.0134
0.7500 0.0090 0.5134
0.9765 0.6422 0.8949
0.4765 0.3578 0.3949
0.7500 0.0090 0.9866
0.2500 0.4337 0.7500
0.9882 0.0422 0.7500
0.2500 0.9910 0.4866
0.5235 0.6422 0.6051
0.0235 0.3578 0.1051
0.0118 0.9578 0.2500
0.2500 0.7296 0.7500
0.7500 0.2704 0.2500
```

Properties
- total magnetization (μB/f.u.) = 1.00
- space-group type = Pmmn, No. 59
- excess energy over the best structure of this formula in the dataset (kJ/mol of formula units) = 184

=====

# 7
Entry from the Materials Project database: crystalline Rb2CeI5 at its relaxed geometry (PBE).

POSCAR file:
```
Rb2CeI5
1.0
0.0000 0.0000 -9.4480
0.0000 -10.1327 0.0000
-15.1181 0.0000 0.0000
I Ce Rb
20 4 8
direct
0.3367 0.9555 0.0747
0.1228 0.7500 0.3238
0.1604 0.2500 0.2993
0.3396 0.2500 0.7993
0.5802 0.7500 0.4908
0.8396 0.7500 0.7007
0.6633 0.0445 0.9253
0.6633 0.4555 0.9253
0.0802 0.2500 0.0092
0.1633 0.5445 0.5747
0.1633 0.9555 0.5747
0.6228 0.2500 0.1762
0.9198 0.7500 0.9908
0.3772 0.7500 0.8238
0.8772 0.2500 0.6762
0.8367 0.0445 0.4253
0.4198 0.2500 0.5092
0.6604 0.7500 0.2007
0.3367 0.5445 0.0747
0.8367 0.4555 0.4253
0.4238 0.2500 0.0042
0.9238 0.7500 0.4958
0.0762 0.2500 0.5042
0.5762 0.7500 0.9958
0.9457 0.0041 0.1725
0.0543 0.9959 0.8275
0.4457 0.9959 0.3275
0.5543 0.4959 0.6725
0.4457 0.5041 0.3275
0.9457 0.4959 0.1725
0.5543 0.0041 0.6725
0.0543 0.5041 0.8275
```

Properties
- space-group type = Pnma, No. 62

=====

# 8
Entry from the Materials Project database: crystalline Ce3SiI3 at its relaxed geometry (PBE).

POSCAR file:
```
Ce3SiI3
1.0
-6.1989 -6.1989 6.1989
-6.1989 6.1989 -6.1989
6.1989 -6.1989 -6.1989
I Ce Si
12 12 4
direct
0.7500 0.4909 0.0091
0.4819 0.2409 0.4909
0.4909 0.0091 0.7500
0.2591 0.0181 0.0091
0.0181 0.0091 0.2591
0.0091 0.2591 0.0181
0.2409 0.4909 0.4819
0.0091 0.7500 0.4909
0.7500 0.2591 0.2409
0.2591 0.2409 0.7500
0.2409 0.7500 0.2591
0.4909 0.4819 0.2409
0.7655 0.2500 0.7345
0.2500 0.5155 0.9845
0.5311 0.7655 0.5155
0.7345 0.9689 0.9845
0.9845 0.2500 0.5155
0.9689 0.9845 0.7345
0.5155 0.9845 0.2500
0.5155 0.5311 0.7655
0.9845 0.7345 0.9689
0.2500 0.7345 0.7655
0.7655 0.5155 0.5311
0.7345 0.7655 0.2500
0.5000 0.7500 0.0000
0.0000 0.5000 0.7500
0.7500 0.0000 0.5000
0.7500 0.7500 0.7500
```

Properties
- total magnetization (μB/f.u.) = 2.98
- space-group type = I4_132, No. 214

=====

| no. | energy of formation from the pure elements (eV per atom) |
| --- | --- |
| 1 | -1.81 |
| 2 | -1.82 |
| 3 | -1.61 |
| 4 | -1.44 |
| 5 | -1.46 |
| 6 | -1.32 |
| 7 | -1.70 |
| 8 | -1.21 |